Compound: Sb2Te3
Source: Materials Project
Functional: GGA-PBE
Structure: optimized geometry Values from VASP.

Summary:
As for the formation energy: 0.00 eV/atom. The calculation puts the density at 6.71 g/cm³. As for the crystal system: hexagonal.

The structure in Quantum ESPRESSO input format:
```
&SYSTEM
  ibrav = 0, nat = 5, ntyp = 2
/
ATOMIC_SPECIES
Sb 121.76 Sb.upf
Te 127.60 Te.upf
CELL_PARAMETERS angstrom
3.385 0.000 0.000
-1.693 2.932 0.000
0.000 0.000 15.617
ATOMIC_POSITIONS angstrom
Sb 0.000 0.000 3.168
Sb 0.000 0.000 12.449
Te 0.000 0.000 0.000
Te 0.000 0.000 6.068
Te 0.000 0.000 9.549
```